1.
A plane-wave DFT calculation with GGA+U was carried out for a geometry-optimized CsGdMo2O8 structure.

Unit cell a=5.1086 b=9.6795 c=8.3737 alpha=90.00 beta=90.00 gamma=90.00
Space group Pccm (No. 49)
Symmetry-distinct sites (fractional):
Cs  0.0000  0.0000  0.2500 [2 per cell]
Gd  0.0000  0.5000  0.2500 [2 per cell]
Mo  0.4782  0.3031  0.0000 [4 per cell]
O  0.2498  0.4312  0.5000 [4 per cell]
O  0.2623  0.3133  0.1711 [8 per cell]
O  0.3792  0.1382  0.5000 [4 per cell]

---

2.
A plane-wave DFT calculation with GGA+U was carried out for a geometry-optimized CsGdW2O8 structure.

Unit cell a=10.9745 b=10.8649 c=7.5814 alpha=90.00 beta=129.83 gamma=90.00
Space group C2/c (No. 15)
Symmetry-distinct sites (fractional):
Cs  0.0000  0.1981  0.2500 [4 per cell]
Gd  0.0000  0.2241  0.7500 [4 per cell]
W  0.1919  0.4944  0.7186 [8 per cell]
O  0.0202  0.3923  0.9668 [8 per cell]
O  0.1354  0.0819  0.6992 [8 per cell]
O  0.1847  0.4360  0.4363 [8 per cell]
O  0.2210  0.1551  0.1279 [8 per cell]

---

3.
A plane-wave DFT calculation with GGA+U was carried out for a geometry-optimized CsLiMnP3HO10 structure.

Unit cell a=7.7881 b=7.7889 c=18.9528 alpha=97.01 beta=98.62 gamma=109.74
Space group P1 (No. 1)
Symmetry-distinct sites (fractional):
Cs  0.0000  0.0000  0.0000 [1 per cell]
Cs  0.2495  0.4994  0.7499 [1 per cell]
Cs  0.4997  0.9997  0.5000 [1 per cell]
Cs  0.7496  0.4996  0.2502 [1 per cell]
Li  0.1028  0.7277  0.8746 [1 per cell]
Li  0.3532  0.2280  0.6250 [1 per cell]
Li  0.6028  0.7279  0.3749 [1 per cell]
Li  0.8531  0.2281  0.1254 [1 per cell]
Mn  0.1989  0.5741  0.1252 [1 per cell]
Mn  0.4492  0.0737  0.8747 [1 per cell]
Mn  0.6990  0.5740  0.6250 [1 per cell]
Mn  0.9486  0.0742  0.3750 [1 per cell]
P  0.0463  0.8947  0.7392 [1 per cell]
P  0.1555  0.3073  0.2608 [1 per cell]
P  0.1750  0.9250  0.2500 [1 per cell]
P  0.2962  0.3944  0.4892 [1 per cell]
P  0.4049  0.8069  0.0107 [1 per cell]
P  0.4248  0.4249  0.0000 [1 per cell]
P  0.5467  0.8950  0.2392 [1 per cell]
P  0.6560  0.3078  0.7608 [1 per cell]
P  0.6749  0.9251  0.7499 [1 per cell]
P  0.7960  0.3941  0.9893 [1 per cell]
P  0.9053  0.8072  0.5108 [1 per cell]
P  0.9249  0.4250  0.5000 [1 per cell]
H  0.0952  0.9704  0.6251 [1 per cell]
H  0.3454  0.4707  0.3756 [1 per cell]
H  0.5949  0.9697  0.1241 [1 per cell]
H  0.8457  0.4714  0.8766 [1 per cell]
O  0.0027  0.2614  0.3036 [1 per cell]
O  0.0878  0.7723  0.1843 [1 per cell]
O  0.0879  0.9035  0.3157 [1 per cell]
O  0.0929  0.3720  0.1916 [1 per cell]
O  0.0959  0.9393  0.5599 [1 per cell]
O  0.1292  0.0363  0.6900 [1 per cell]
O  0.1449  0.4620  0.5245 [1 per cell]
O  0.1804  0.9014  0.8083 [1 per cell]
O  0.1874  0.1203  0.2255 [1 per cell]
O  0.2077  0.1991  0.4463 [1 per cell]
O  0.2524  0.7612  0.0535 [1 per cell]
O  0.3379  0.2724  0.9343 [1 per cell]
O  0.3381  0.4036  0.0657 [1 per cell]
O  0.3430  0.8722  0.9417 [1 per cell]
O  0.3461  0.4392  0.3099 [1 per cell]
O  0.3792  0.5360  0.4400 [1 per cell]
O  0.3948  0.9619  0.2746 [1 per cell]
O  0.4304  0.4013  0.5582 [1 per cell]
O  0.4376  0.6205  0.9755 [1 per cell]
O  0.4580  0.6994  0.1964 [1 per cell]
O  0.5029  0.2616  0.8035 [1 per cell]
O  0.5878  0.7722  0.6843 [1 per cell]
O  0.5880  0.9035  0.8157 [1 per cell]
O  0.5929  0.3720  0.6916 [1 per cell]
O  0.5957  0.9392  0.0600 [1 per cell]
O  0.6295  0.0365  0.1901 [1 per cell]
O  0.6450  0.4622  0.0244 [1 per cell]
O  0.6803  0.9012  0.3083 [1 per cell]
O  0.6873  0.1202  0.7254 [1 per cell]
O  0.7077  0.1989  0.9464 [1 per cell]
O  0.7526  0.7614  0.5536 [1 per cell]
O  0.8377  0.2724  0.4343 [1 per cell]
O  0.8381  0.4035  0.5657 [1 per cell]
O  0.8429  0.8721  0.4417 [1 per cell]
O  0.8463  0.4394  0.8097 [1 per cell]
O  0.8791  0.5358  0.9399 [1 per cell]
O  0.8948  0.9620  0.7745 [1 per cell]
O  0.9304  0.4013  0.0582 [1 per cell]
O  0.9375  0.6204  0.4755 [1 per cell]
O  0.9580  0.6993  0.6964 [1 per cell]

---

4.
A plane-wave DFT calculation with GGA+U was carried out for a geometry-optimized CsLiH4W2SO3 structure.

Unit cell a=9.0086 b=5.3532 c=9.3734 alpha=90.00 beta=114.03 gamma=90.00
Space group Cm (No. 8)
Symmetry-distinct sites (fractional):
Cs  0.0000  0.0000  0.0000 [2 per cell]
Li  0.1401  0.0000  0.6730 [2 per cell]
H  0.1115  0.0000  0.4630 [2 per cell]
H  0.1587  0.5000  0.2534 [2 per cell]
H  0.3883  0.3072  0.2280 [4 per cell]
W  0.3900  0.5000  0.3944 [2 per cell]
W  0.4957  0.0000  0.3331 [2 per cell]
S  0.4974  0.0000  0.7328 [2 per cell]
O  0.3651  0.0000  0.7960 [2 per cell]
O  0.4668  0.2364  0.6276 [4 per cell]

---

5.
A plane-wave DFT calculation with GGA+U was carried out for a geometry-optimized CsMgMnP3HO10 structure.

Unit cell a=6.5745 b=6.9252 c=7.0382 alpha=96.68 beta=106.05 gamma=105.98
Space group P1 (No. 1)
Symmetry-distinct sites (fractional):
Cs  0.0000  0.0000  0.0000 [1 per cell]
Mg  0.0191  0.6460  0.3460 [1 per cell]
Mn  0.5038  0.2543  0.7602 [1 per cell]
P  0.0056  0.3579  0.6591 [1 per cell]
P  0.4062  0.7035  0.6864 [1 per cell]
P  0.6035  0.3215  0.3125 [1 per cell]
H  0.5356  0.6146  0.3940 [1 per cell]
O  0.1443  0.6011  0.7007 [1 per cell]
O  0.1531  0.2255  0.6771 [1 per cell]
O  0.3453  0.6519  0.4507 [1 per cell]
O  0.4541  0.2131  0.4206 [1 per cell]
O  0.4666  0.9295  0.7695 [1 per cell]
O  0.5488  0.2489  0.0899 [1 per cell]
O  0.5545  0.5921  0.7962 [1 per cell]
O  0.6663  0.5676  0.3669 [1 per cell]
O  0.8516  0.3329  0.7831 [1 per cell]
O  0.8672  0.3207  0.4150 [1 per cell]

---

6.
A plane-wave DFT calculation with GGA+U was carried out for a geometry-optimized CsMgMnP3HO10 structure.

Unit cell a=6.7151 b=6.9024 c=6.9405 alpha=84.57 beta=70.67 gamma=70.47
Space group P1 (No. 1)
Symmetry-distinct sites (fractional):
Cs  0.0000  0.0000  0.0000 [1 per cell]
Mg  0.5004  0.3294  0.6731 [1 per cell]
Mn  0.4951  0.6937  0.3123 [1 per cell]
P  0.3512  0.2150  0.4235 [1 per cell]
P  0.6415  0.5831  0.7920 [1 per cell]
P  0.9939  0.6048  0.4061 [1 per cell]
H  0.4880  0.0831  0.9468 [1 per cell]
O  0.1259  0.3615  0.3745 [1 per cell]
O  0.1534  0.7254  0.3586 [1 per cell]
O  0.2909  0.1918  0.6581 [1 per cell]
O  0.4213  0.0216  0.3003 [1 per cell]
O  0.4670  0.6369  0.6757 [1 per cell]
O  0.5233  0.3341  0.3686 [1 per cell]
O  0.5695  0.7026  0.9872 [1 per cell]
O  0.7122  0.3458  0.8073 [1 per cell]
O  0.8348  0.6500  0.2857 [1 per cell]
O  0.8610  0.6417  0.6474 [1 per cell]

---

7.
A plane-wave DFT calculation with GGA+U was carried out for a geometry-optimized Cs2MnH12Se2O14 structure.

Unit cell a=6.7610 b=13.4273 c=9.6526 alpha=90.00 beta=105.54 gamma=90.00
Space group P2_1/c (No. 14)
Symmetry-distinct sites (fractional):
Cs  0.1449  0.1375  0.3727 [4 per cell]
Mn  0.5000  0.0000  0.0000 [2 per cell]
H  0.1800  0.5672  0.6071 [4 per cell]
H  0.1931  0.6381  0.4792 [4 per cell]
H  0.1969  0.1083  0.7887 [4 per cell]
H  0.4173  0.1383  0.7656 [4 per cell]
H  0.4243  0.5994  0.2251 [4 per cell]
H  0.4837  0.6815  0.3480 [4 per cell]
Se  0.2441  0.6510  0.8976 [4 per cell]
O  0.1011  0.7493  0.9172 [4 per cell]
O  0.1033  0.5824  0.7605 [4 per cell]
O  0.2206  0.5686  0.5154 [4 per cell]
O  0.2955  0.5802  0.0456 [4 per cell]
O  0.3436  0.1168  0.8371 [4 per cell]
O  0.4637  0.6899  0.8631 [4 per cell]
O  0.4974  0.1100  0.1732 [4 per cell]

---

8.
A plane-wave DFT calculation with GGA+U was carried out for a geometry-optimized Cs5Mo8PH6O32 structure.

Unit cell a=9.1544 b=23.6227 c=16.7459 alpha=90.00 beta=90.00 gamma=90.00
Space group Cmcm (No. 63)
Symmetry-distinct sites (fractional):
Cs  0.0000  0.1170  0.0381 [8 per cell]
Cs  0.0000  0.1202  0.7500 [4 per cell]
Cs  0.0000  0.3610  0.5273 [8 per cell]
Mo  0.1770  0.2622  0.1487 [16 per cell]
Mo  0.1855  0.4825  0.1532 [16 per cell]
P  0.0000  0.3724  0.2500 [4 per cell]
H  0.0000  0.1881  0.2500 [4 per cell]
H  0.0000  0.4438  0.7500 [4 per cell]
H  0.0842  0.0758  0.2500 [8 per cell]
H  0.0860  0.3470  0.7500 [8 per cell]
O  0.0000  0.1015  0.2500 [4 per cell]
O  0.0000  0.2300  0.2500 [4 per cell]
O  0.0000  0.2465  0.0879 [8 per cell]
O  0.0000  0.3333  0.1747 [8 per cell]
O  0.0000  0.3712  0.7500 [4 per cell]
O  0.0000  0.4570  0.1104 [8 per cell]
O  0.0000  0.4862  0.7500 [4 per cell]
O  0.1379  0.4110  0.2500 [8 per cell]
O  0.1932  0.0615  0.6026 [16 per cell]
O  0.2015  0.4516  0.6075 [16 per cell]
O  0.2037  0.9999  0.2500 [8 per cell]
O  0.2243  0.1958  0.5826 [16 per cell]
O  0.2443  0.2118  0.7500 [8 per cell]
O  0.2450  0.3051  0.6433 [16 per cell]

---

no.,total moment (μB/atom),energy of formation from the pure elements (eV per atom)
1,0.583,-2.53
2,0.583,-2.63
3,0.000,-2.49
4,0.665,-0.22
5,0.353,-2.35
6,0.235,-2.38
7,0.168,-1.45
8,0.000,-2.01